# 1
! MgAl2O4 | the Materials Project | PBE-GGA | optimized geometry; values from VASP
&SYSTEM
  ibrav = 0, nat = 98, ntyp = 3
/
ATOMIC_SPECIES
O 16.00 O.upf
Al 26.98 Al.upf
Mg 24.30 Mg.upf
CELL_PARAMETERS angstrom
2.885 5.004 0.000
-2.885 5.004 0.000
0.000 3.365 33.051
ATOMIC_POSITIONS angstrom
O -1.601 7.613 17.655
O 0.000 4.799 3.445
O 1.287 7.441 10.703
O 0.000 10.023 17.519
O 0.000 6.679 12.796
Al 0.000 11.689 16.523
Mg 0.000 5.032 7.073
O 0.000 10.023 10.843
Al -1.441 5.850 11.811
Al 1.404 7.495 7.100
O 1.597 5.762 15.424
Mg 0.000 6.672 0.680
O 1.287 7.438 24.862
O -1.261 2.597 3.426
Mg 0.000 10.004 0.052
O 0.000 5.207 24.862
Al 0.000 6.700 32.415
Al 1.422 9.213 30.682
O -1.391 4.057 5.816
Mg 0.000 3.347 13.572
Al 0.000 8.354 11.816
O 1.261 2.597 3.426
O 0.000 8.481 1.380
O -1.323 6.022 8.259
Mg 0.000 6.686 18.286
Al 0.000 10.032 28.303
O 0.000 4.835 17.654
Mg 0.000 3.359 27.752
Mg 0.000 6.684 4.108
O 0.000 6.689 20.265
Al 1.451 4.174 2.375
O 0.000 3.362 29.764
O 0.000 1.497 12.938
O 0.000 3.245 7.977
O -1.597 5.762 15.424
O 1.601 7.613 17.655
O -1.288 9.287 27.093
Al 0.000 9.960 5.318
Al -1.439 5.862 25.960
O 0.000 8.175 22.373
Al -1.422 9.213 30.682
O 0.000 8.558 29.564
O -1.600 4.275 12.939
O 1.284 5.949 22.373
O 0.000 3.350 15.548
O 0.000 10.035 31.707
Mg 0.000 10.063 8.896
O 1.288 9.287 27.093
Al 0.000 6.692 9.459
O 0.000 8.533 15.424
Mg 0.000 3.331 9.974
O 0.000 8.228 8.184
O 0.000 6.696 26.963
O -1.287 7.438 24.862
O 0.000 1.718 5.857
O -1.475 7.551 31.760
O 0.000 6.774 6.048
O -1.597 9.102 20.142
Al 0.000 10.022 14.165
O -1.564 5.763 1.379
O 0.000 11.873 20.142
O -1.287 7.441 10.703
Al 0.000 3.322 4.681
Mg 0.000 6.699 28.916
O 1.600 4.275 12.939
Al -1.441 9.189 16.523
Al 1.441 5.850 11.811
Al 0.000 1.652 2.370
Al -1.444 7.525 21.240
Mg 0.000 6.686 14.749
O -1.277 10.772 29.564
O 1.475 7.551 31.760
O 1.277 10.772 29.564
O 1.323 6.022 8.259
Al 1.441 9.189 16.523
Mg 0.000 3.359 24.188
O 0.000 4.994 31.762
O 1.597 9.102 20.142
O 0.000 3.355 22.239
Al 0.000 6.692 23.594
O 0.000 3.338 1.183
O 0.000 11.520 27.093
Al 1.444 7.525 21.240
O 1.564 5.763 1.379
Al 0.000 11.678 30.682
O -1.284 5.949 22.373
Al -1.404 7.495 7.100
Al 0.000 5.021 21.240
O 0.000 5.187 10.683
Al 1.439 5.862 25.960
Mg 0.000 10.026 19.465
O 0.000 10.029 24.988
Al 0.000 8.359 25.960
O 1.391 4.057 5.816
O 0.000 10.004 3.501
Al -1.451 4.174 2.375
Mg 0.000 10.026 23.008
Al 0.000 3.352 18.876
! - Offset from the most stable computed form: 10 meV per atom
! - Space group: Cm

***

# 2
! LiCuO2 | the Materials Project | PBE-GGA | optimized geometry; values from VASP
&SYSTEM
  ibrav = 0, nat = 16, ntyp = 3
/
ATOMIC_SPECIES
Cu 63.55 Cu.upf
O 16.00 O.upf
Li 6.94 Li.upf
CELL_PARAMETERS angstrom
5.364 0.000 0.000
-1.458 5.251 0.000
-1.305 -1.467 6.507
ATOMIC_POSITIONS angstrom
Cu 4.649 -0.105 1.685
O 3.350 -0.344 4.114
O 3.175 0.916 1.255
Cu -1.424 1.229 4.842
Cu -2.131 3.865 4.818
O 0.091 0.256 5.312
O -0.823 2.808 5.586
O 2.479 2.233 4.328
O -0.685 4.173 2.167
Li 1.512 1.831 0.842
Li 1.016 2.176 5.540
O 2.524 3.534 1.018
Li 0.760 4.487 0.966
Cu 3.949 2.529 1.704
O 0.067 1.497 2.145
Li 1.506 0.300 3.623
! - Space group: P1
! - Piezoelectric modulus e_max: 1.4 C/m²

***

# 3
! Pr4Ho11S22 | the Materials Project | PBE-GGA | optimized geometry; values from VASP
&SYSTEM
  ibrav = 0, nat = 37, ntyp = 3
/
ATOMIC_SPECIES
Ho 164.93 Ho.upf
S 32.06 S.upf
Pr 140.91 Pr.upf
CELL_PARAMETERS angstrom
1.978 19.616 0.000
-1.978 19.616 0.000
0.000 0.308 11.376
ATOMIC_POSITIONS angstrom
Ho 0.000 21.199 3.088
S 0.000 39.004 2.714
Ho 0.000 7.944 0.654
S 0.000 32.675 1.723
S 0.000 17.639 5.740
Ho 0.000 31.597 10.721
S 0.000 28.432 6.714
Ho 0.000 18.342 8.287
Ho 0.000 10.562 7.372
Ho 0.000 13.524 3.434
Ho 0.000 36.622 4.093
S 0.000 0.537 8.661
S 0.000 7.498 3.503
Pr 0.000 14.608 7.421
S 0.000 14.034 10.331
S 0.000 32.043 7.872
Ho 0.000 26.017 7.942
S 0.000 16.039 2.413
S 0.000 34.096 5.161
Ho 0.000 28.979 4.003
S 0.000 5.445 6.215
S 0.000 3.506 2.815
Pr 0.000 24.933 3.954
S 0.000 10.287 10.021
S 0.000 25.507 1.045
S 0.000 18.076 11.021
S 0.000 21.902 5.636
S 0.000 6.866 9.653
Pr 0.000 35.144 0.140
Ho 0.000 2.919 7.283
S 0.000 23.502 8.963
Pr 0.000 4.397 11.235
S 0.000 36.035 8.561
S 0.000 11.109 4.661
S 0.000 29.254 1.354
S 0.000 21.465 0.355
Ho 0.000 0.000 0.000
! - Space group: C2/m

***

# 4
! AlPO6 | the Materials Project | PBE-GGA | optimized geometry; values from VASP
&SYSTEM
  ibrav = 0, nat = 48, ntyp = 3
/
ATOMIC_SPECIES
O 16.00 O.upf
Al 26.98 Al.upf
P 30.97 P.upf
CELL_PARAMETERS angstrom
9.119 0.000 0.000
-0.990 9.533 0.000
-1.949 -1.034 9.422
ATOMIC_POSITIONS angstrom
O 4.551 1.981 4.538
O 5.881 9.262 2.384
O -1.753 6.291 6.958
O 8.000 1.992 2.361
O 6.141 8.373 6.320
O 3.711 6.205 6.770
O 7.454 0.883 4.536
O 7.248 1.742 7.004
O 0.347 1.637 8.236
O 3.233 4.467 2.045
O 0.158 -0.056 3.029
O 1.581 7.237 0.052
Al 6.467 0.473 6.037
O -1.301 7.382 4.758
O 2.686 0.221 8.036
O 0.813 6.608 4.501
O 3.556 8.324 9.009
O 1.437 8.157 2.413
P 7.885 0.645 3.092
O 1.826 -0.486 4.698
O 2.856 5.958 7.613
Al 0.935 -0.033 8.309
Al 5.310 8.344 1.004
O 4.921 0.684 4.602
O -0.877 -0.590 9.039
P -1.040 2.306 8.159
O 3.629 2.259 3.720
Al -0.086 7.820 3.376
Al 7.744 3.003 0.943
P 2.146 8.231 1.075
O 7.178 4.570 1.513
O 4.976 0.294 7.046
O 0.163 3.139 0.086
O -0.487 8.477 6.895
O -0.831 6.725 2.175
O 1.361 2.845 4.957
O 0.588 3.710 4.566
O 3.643 4.580 0.895
O 4.554 1.292 9.326
O 3.633 7.950 1.270
Al -1.448 5.349 8.391
O -0.783 3.805 7.920
O 3.039 0.157 0.497
O 6.141 5.048 9.163
P -1.627 7.638 6.245
O 6.064 6.768 0.994
P 7.418 6.047 1.131
P 4.182 0.148 8.349
! - Offset from the most stable computed form: 75 meV per atom
! - Space group: P1

***

# 5
! DyMn6Sn6 | the Materials Project | PBE-GGA | optimized geometry; values from VASP
&SYSTEM
  ibrav = 0, nat = 13, ntyp = 3
/
ATOMIC_SPECIES
Mn 54.94 Mn.upf
Sn 118.71 Sn.upf
Dy 162.50 Dy.upf
CELL_PARAMETERS angstrom
-5.081 -1.947 0.410
3.950 -1.988 3.197
-1.891 6.245 6.220
ATOMIC_POSITIONS angstrom
Mn 1.504 0.561 3.147
Sn 0.940 -1.974 2.268
Mn -3.011 0.581 1.754
Dy 0.000 0.000 0.000
Mn 0.555 3.696 6.270
Sn -3.016 1.162 4.449
Mn -1.036 -0.413 3.352
Mn -3.960 3.716 4.877
Sn -0.006 1.148 5.378
Sn -2.071 -1.961 1.339
Sn -0.630 2.080 2.072
Mn -1.985 2.722 6.475
Sn -1.261 4.164 4.148
! - Space group: P6/mmm

***

# 6
! MoWSeS3 | the Materials Project | PBE-GGA | optimized geometry; values from VASP
&SYSTEM
  ibrav = 0, nat = 12, ntyp = 4
/
ATOMIC_SPECIES
S 32.06 S.upf
Mo 95.94 Mo.upf
Se 78.96 Se.upf
W 183.84 W.upf
CELL_PARAMETERS angstrom
1.611 -2.790 0.000
1.611 2.790 0.000
0.000 0.000 36.354
ATOMIC_POSITIONS angstrom
S 1.611 0.930 1.855
S 1.611 0.930 4.974
Mo 0.000 0.000 17.073
S 1.611 0.930 15.521
Mo 1.611 0.930 10.244
S 1.611 0.930 18.626
Se 0.000 0.000 25.624
Se 0.000 0.000 22.186
S 0.000 0.000 8.692
W 0.000 0.000 3.414
W 1.611 0.930 23.905
S 0.000 0.000 11.797
! - Offset from the most stable computed form: 17 meV per atom
! - Space group: P3m1

***

# 7
! Er2Ga6Cu11 | the Materials Project | PBE-GGA | optimized geometry; values from VASP
&SYSTEM
  ibrav = 0, nat = 19, ntyp = 3
/
ATOMIC_SPECIES
Er 167.26 Er.upf
Ga 69.72 Ga.upf
Cu 63.55 Cu.upf
CELL_PARAMETERS angstrom
4.892 -4.372 0.000
4.892 4.372 0.000
0.985 0.000 6.486
ATOMIC_POSITIONS angstrom
Er 3.656 0.000 2.202
Ga 4.206 0.000 5.536
Ga 4.572 2.228 4.255
Cu 2.140 -1.292 4.570
Cu 9.689 0.000 5.836
Cu 0.493 0.000 3.243
Ga 6.197 2.228 2.231
Cu 3.738 3.080 1.917
Cu 1.080 0.000 0.651
Cu 4.892 -1.788 0.000
Ga 6.563 0.000 0.950
Cu 2.446 2.186 0.000
Cu 2.446 -2.186 0.000
Ga 6.197 -2.228 2.231
Ga 4.572 -2.228 4.255
Cu 4.892 1.788 0.000
Cu 2.140 1.292 4.570
Cu 3.738 -3.080 1.917
Er 7.114 0.000 4.284
! - Space group: R-3m

***

# 8
! SmGe3Rh5 | the Materials Project | PBE-GGA | optimized geometry; values from VASP
&SYSTEM
  ibrav = 0, nat = 54, ntyp = 3
/
ATOMIC_SPECIES
Rh 102.91 Rh.upf
Ge 72.64 Ge.upf
Sm 150.36 Sm.upf
CELL_PARAMETERS angstrom
-10.307 10.568 6.266
3.028 0.123 -15.748
-2.979 -2.554 -0.593
ATOMIC_POSITIONS angstrom
Rh 0.196 -1.521 -14.366
Ge -7.244 3.988 -0.709
Sm -4.071 1.242 -4.820
Rh -4.564 5.658 -8.089
Rh -1.638 0.553 -14.083
Sm -1.135 -0.765 -10.929
Ge -7.920 5.347 -3.164
Ge -1.343 0.780 -3.255
Ge -8.916 7.357 -6.820
Rh -6.802 6.292 0.428
Rh -8.233 7.374 -10.330
Sm -6.187 6.894 -5.255
Rh -5.571 5.429 -2.037
Rh -3.887 4.321 -5.725
Rh -3.457 1.844 -10.503
Sm -5.748 4.590 -10.815
Rh -6.371 3.815 -4.350
Ge -1.545 -1.235 -6.843
Rh -1.891 -1.403 -4.379
Rh -2.919 -0.787 -1.867
Ge -8.714 9.372 -3.232
Rh -0.874 2.235 -11.882
Rh -7.340 8.924 -8.207
Rh -1.048 1.004 -5.704
Rh -8.367 9.539 -5.695
Rh -2.703 4.353 -11.818
Ge 0.667 0.717 -13.088
Rh -2.810 0.514 -8.023
Ge -1.132 1.960 -9.398
Ge -5.810 7.401 -9.332
Rh 0.105 0.223 -8.132
Sm -4.510 3.547 0.741
Ge -7.053 6.021 2.861
Ge -9.126 6.176 -0.676
Rh -9.211 7.132 -4.371
Ge -6.204 4.186 -6.785
Rh -2.833 2.220 -1.973
Ge -3.015 4.148 -9.366
Sm -9.123 8.902 0.854
Rh -9.384 5.901 1.807
Rh -7.448 7.622 -2.052
Ge -4.448 0.736 -0.742
Rh -7.426 5.916 -8.101
Rh -2.026 0.762 0.255
Rh -4.688 2.708 -8.038
Rh -8.621 7.583 4.008
Rh -7.555 3.783 1.743
Rh -10.455 9.657 4.292
Rh -10.363 7.913 -1.942
Ge -4.054 3.950 -3.289
Ge -3.206 2.115 -12.936
Ge -2.339 2.790 -6.910
Ge -10.926 7.419 3.013
Rh -5.695 2.478 -1.985
! - Offset from the most stable computed form: 0 meV per atom
! - Space group: P6_3/m

***

# 9
! Cu3SbS3 | the Materials Project | PBE-GGA | optimized geometry; values from VASP
&SYSTEM
  ibrav = 0, nat = 28, ntyp = 3
/
ATOMIC_SPECIES
S 32.06 S.upf
Cu 63.55 Cu.upf
Sb 121.76 Sb.upf
CELL_PARAMETERS angstrom
6.541 0.000 0.000
0.000 8.099 0.000
0.000 0.000 10.269
ATOMIC_POSITIONS angstrom
S 4.090 7.696 7.751
Cu 0.357 1.370 0.970
S 2.603 1.474 4.377
S 5.872 2.740 9.709
S 0.819 4.452 2.518
Cu 3.627 2.680 9.299
Cu 2.421 5.120 9.368
Sb 4.015 2.225 2.424
Sb 0.744 1.825 7.845
S 0.668 6.625 9.511
Cu 0.850 2.979 4.234
Cu 3.190 3.432 5.477
S 2.602 1.310 0.560
S 5.874 2.576 5.892
Cu 6.185 5.419 4.165
Sb 5.798 5.874 7.558
S 0.669 6.789 5.694
Cu 5.691 7.028 0.901
S 3.939 5.523 0.758
S 2.452 3.647 7.652
Cu 4.121 1.071 6.035
Cu 6.460 0.617 4.792
Cu 2.914 6.729 6.104
Cu 0.081 4.667 0.343
Cu 3.352 7.482 9.926
S 3.940 5.359 4.574
S 5.723 0.403 2.617
Sb 2.527 6.274 2.711
! - Offset from the most stable computed form: 0 meV per atom
! - Space group: P2_12_12_1

***

# 10
! Li3MgPCO7 | the Materials Project | PBE-GGA | optimized geometry; values from VASP
&SYSTEM
  ibrav = 0, nat = 26, ntyp = 5
/
ATOMIC_SPECIES
C 12.01 C.upf
O 16.00 O.upf
Mg 24.30 Mg.upf
Li 6.94 Li.upf
P 30.97 P.upf
CELL_PARAMETERS angstrom
-4.679 4.050 -1.891
-2.654 -1.194 4.012
3.410 6.106 4.639
ATOMIC_POSITIONS angstrom
C -5.281 2.442 1.693
O 0.466 5.615 5.336
O -4.389 3.347 1.424
O -1.700 1.256 1.363
O 1.877 6.566 3.882
Mg -4.429 4.198 3.345
O -1.366 3.591 5.535
Li -1.961 5.666 5.495
O -5.800 2.396 2.878
O -2.557 5.371 1.226
Li -1.081 8.294 3.834
O -1.379 1.187 4.596
P -2.273 6.273 2.454
Li 0.199 1.425 2.139
O -0.779 6.247 2.878
C 1.358 6.520 5.067
Mg 0.506 4.763 3.415
Li -1.962 3.296 1.265
O -0.749 3.181 3.133
O -3.144 2.715 3.882
O -2.544 7.775 2.165
O -3.174 5.780 3.627
P -1.650 2.689 4.307
Li -4.122 7.537 4.622
O -2.223 7.706 5.398
Li -2.842 0.668 2.927
! - Offset from the most stable computed form: 0 meV per atom
! - Space group: P2_1/m

***

no.,calculated total energy (eV/atom),E_form (eV/f.u.)
1,-7.0982,-23.55
2,-5.0456,-5.65
3,-6.3954,-87.16
4,-6.6392,-14.27
5,-6.5727,-1.81
6,-7.3842,-6.11
7,-4.0545,-4.64
8,-6.8762,-6.48
9,-4.3121,-2.86
10,-6.5752,-33.68